1.
Tb4Al24Pd9, optimized geometry, DFT r²SCAN; energy of formation from the pure elements = -28.3 eV per formula unit; magnetization = 0.00 μB/f.u.; space-group type = P-1
1.0
7.5068 0.0000 0.0000
3.7366 6.5108 0.0000
1.2439 2.1567 12.8766
Tb Al Pd
4 24 9
direct
0.0019 0.2317 0.3085
0.3318 0.5620 0.3085
0.6682 0.4380 0.6915
0.9981 0.7683 0.6915
0.9996 0.3134 0.0596
0.0004 0.6866 0.9404
0.0006 0.1481 0.5547
0.0075 0.0560 0.8302
0.1312 0.3072 0.6853
0.3331 0.0208 0.9387
0.3334 0.1813 0.4560
0.3333 0.6463 0.0596
0.3336 0.4814 0.5547
0.3347 0.3819 0.8303
0.3362 0.8981 0.6838
0.3409 0.2688 0.1684
0.4591 0.8970 0.3162
0.5409 0.1030 0.6838
0.6591 0.7312 0.8316
0.6638 0.1019 0.3162
0.6653 0.6181 0.1697
0.6664 0.5186 0.4453
0.6667 0.3537 0.9404
0.6666 0.8187 0.5440
0.6669 0.9792 0.0613
0.8688 0.6928 0.3147
0.9925 0.9440 0.1698
0.9994 0.8519 0.4453
0.0000 0.5000 0.5000
0.0071 0.6130 0.1379
0.3254 0.9536 0.1376
0.3282 0.8282 0.5001
0.3332 0.7053 0.8621
0.6668 0.2947 0.1379
0.6718 0.1718 0.4999
0.6746 0.0464 0.8624
0.9929 0.3870 0.8621

2.
Ba3Cu17AgP6, optimized geometry, DFT r²SCAN; energy of formation from the pure elements = -9.6 eV per formula unit; magnetization = 0.00 μB/f.u.; space-group type = C2/m
1.0
8.6952 -2.9226 0.0000
8.6952 2.9226 0.0000
-5.7959 0.0000 8.6922
Ba Cu Ag P
3 17 1 6
direct
0.0000 0.0000 0.0000
0.3373 0.3373 0.0124
0.6627 0.6627 0.9876
0.0000 0.0000 0.5000
0.0600 0.5556 0.6755
0.0813 0.6226 0.3308
0.1744 0.1744 0.4977
0.1980 0.7335 0.6683
0.2665 0.8020 0.3317
0.3307 0.3307 0.4996
0.3774 0.9187 0.6692
0.4444 0.9400 0.3245
0.5556 0.0600 0.6755
0.6226 0.0813 0.3308
0.6693 0.6693 0.5004
0.7335 0.1980 0.6683
0.8020 0.2665 0.3317
0.8256 0.8256 0.5023
0.9187 0.3774 0.6692
0.9400 0.4444 0.3245
0.5000 0.5000 0.5000
0.0939 0.0939 0.7815
0.2379 0.2379 0.2116
0.4299 0.4299 0.7874
0.5701 0.5701 0.2126
0.7621 0.7621 0.7884
0.9061 0.9061 0.2185

3.
BaZrO3, optimized geometry, DFT r²SCAN; energy of formation from the pure elements = -18.0 eV per formula unit; magnetization = 0.00 μB/f.u.; space-group type = I4/mcm
1.0
-2.9770 2.9770 4.2139
2.9770 -2.9770 4.2139
2.9770 2.9770 -4.2139
Ba Zr O
2 2 6
direct
0.2500 0.7500 0.5000
0.7500 0.2500 0.5000
0.0000 0.0000 0.0000
0.5000 0.5000 0.0000
0.2394 0.7394 0.9787
0.2500 0.2500 0.0000
0.2606 0.2394 0.5000
0.7394 0.7606 0.5000
0.7500 0.7500 0.0000
0.7606 0.2606 0.0213

4.
Th5Sn4, optimized geometry, DFT r²SCAN; energy of formation from the pure elements = -6.0 eV per formula unit; magnetization = 0.00 μB/f.u.; space-group type = P6_3/mcm
1.0
9.7269 0.0000 0.0000
-4.8635 8.4238 0.0000
0.0000 0.0000 6.5715
Th Sn
10 8
direct
0.0000 0.2787 0.2500
0.0000 0.7213 0.7500
0.2787 0.0000 0.2500
0.2787 0.2787 0.7500
0.3333 0.6667 0.0000
0.3333 0.6667 0.5000
0.6667 0.3333 0.0000
0.6667 0.3333 0.5000
0.7213 0.0000 0.7500
0.7213 0.7213 0.2500
0.0000 0.0000 0.0000
0.0000 0.0000 0.5000
0.0000 0.3814 0.7500
0.0000 0.6186 0.2500
0.3814 0.0000 0.7500
0.3814 0.3814 0.2500
0.6186 0.0000 0.2500
0.6186 0.6186 0.7500

5.
Hf3Ni4Ge4, optimized geometry, DFT r²SCAN; energy of formation from the pure elements = -7.6 eV per formula unit; magnetization = 0.00 μB/f.u.; space-group type = Immm
1.0
-1.9406 3.2364 6.4020
1.9406 -3.2364 6.4020
1.9406 3.2364 -6.4020
Hf Ni Ge
3 4 4
direct
0.0000 0.0000 0.0000
0.3718 0.8718 0.5000
0.6282 0.1282 0.5000
0.0234 0.3225 0.7009
0.3784 0.6775 0.7009
0.6216 0.3225 0.2991
0.9766 0.6775 0.2991
0.2131 0.2131 0.0000
0.2996 0.5000 0.7996
0.7004 0.5000 0.2004
0.7869 0.7869 0.0000

6.
Ba2As2S5, optimized geometry, DFT r²SCAN; energy of formation from the pure elements = -11.2 eV per formula unit; magnetization = 0.00 μB/f.u.; space-group type = Pca2_1
1.0
17.5521 0.0000 0.0000
0.0000 9.3699 0.0000
0.0000 0.0000 12.0560
Ba As S
16 16 40
direct
0.0726 0.0035 0.0000
0.0758 0.5041 0.0109
0.1761 0.4999 0.3450
0.1785 0.9859 0.3530
0.3215 0.9859 0.8530
0.3239 0.4999 0.8450
0.4242 0.5041 0.5109
0.4274 0.0035 0.5000
0.5726 0.9965 0.0000
0.5758 0.4959 0.0109
0.6761 0.5001 0.3450
0.6785 0.0141 0.3530
0.8215 0.0141 0.8530
0.8239 0.5001 0.8450
0.9242 0.4959 0.5109
0.9274 0.9965 0.5000
0.0072 0.7212 0.2725
0.1267 0.1400 0.6596
0.1300 0.7762 0.7015
0.2401 0.2709 0.0835
0.2599 0.2709 0.5835
0.3700 0.7762 0.2015
0.3733 0.1400 0.1596
0.4928 0.7212 0.7725
0.5072 0.2788 0.2725
0.6267 0.8600 0.6596
0.6300 0.2238 0.7015
0.7401 0.7291 0.0835
0.7599 0.7291 0.5835
0.8700 0.2238 0.2015
0.8733 0.8600 0.1596
0.9928 0.2788 0.7725
0.0019 0.5143 0.7626
0.0400 0.9523 0.7285
0.0514 0.7490 0.4473
0.0747 0.2040 0.4981
0.1160 0.7614 0.1781
0.1331 0.2339 0.1780
0.1800 0.7564 0.8716
0.1979 0.2432 0.9069
0.2110 0.9472 0.6203
0.2446 0.5035 0.5953
0.2554 0.5035 0.0953
0.2890 0.9472 0.1203
0.3021 0.2432 0.4069
0.3200 0.7564 0.3716
0.3669 0.2339 0.6780
0.3840 0.7614 0.6781
0.4253 0.2040 0.9981
0.4486 0.7490 0.9473
0.4600 0.9523 0.2285
0.4981 0.5143 0.2626
0.5019 0.4857 0.7626
0.5400 0.0477 0.7285
0.5514 0.2510 0.4473
0.5747 0.7960 0.4981
0.6160 0.2386 0.1781
0.6331 0.7661 0.1780
0.6800 0.2436 0.8716
0.6979 0.7568 0.9069
0.7110 0.0528 0.6203
0.7446 0.4965 0.5953
0.7554 0.4965 0.0953
0.7890 0.0528 0.1203
0.8021 0.7568 0.4069
0.8200 0.2436 0.3716
0.8669 0.7661 0.6780
0.8840 0.2386 0.6781
0.9253 0.7960 0.9981
0.9486 0.2510 0.9473
0.9600 0.0477 0.2285
0.9981 0.4857 0.2626

7.
EuCuSn2, optimized geometry, DFT r²SCAN; energy of formation from the pure elements = -1.9 eV per formula unit; magnetization = 7.04 μB/f.u.; space-group type = Cmcm
1.0
2.2583 -9.6102 0.0000
2.2583 9.6102 0.0000
0.0000 0.0000 4.5100
Eu Cu Sn
2 2 4
direct
0.1079 0.8921 0.7500
0.8921 0.1079 0.2500
0.3251 0.6749 0.7500
0.6749 0.3251 0.2500
0.2507 0.7493 0.2500
0.4567 0.5433 0.7500
0.5433 0.4567 0.2500
0.7493 0.2507 0.7500

8.
AsO2, optimized geometry, DFT r²SCAN; energy of formation from the pure elements = -3.7 eV per formula unit; magnetization = 0.00 μB/f.u.; space-group type = Pnma
1.0
8.6148 0.0000 0.0000
0.0000 5.2635 0.0000
0.0000 0.0000 7.2948
As O
8 16
direct
0.0741 0.2500 0.1699
0.2341 0.7500 0.3007
0.2659 0.2500 0.8007
0.4259 0.7500 0.6699
0.5741 0.2500 0.3301
0.7341 0.7500 0.1993
0.7659 0.2500 0.6993
0.9259 0.7500 0.8301
0.0881 0.5043 0.3179
0.0881 0.9957 0.3179
0.0910 0.7500 0.9427
0.2479 0.2500 0.0508
0.2521 0.7500 0.5508
0.4090 0.2500 0.4427
0.4119 0.0043 0.8179
0.4119 0.4957 0.8179
0.5881 0.5043 0.1821
0.5881 0.9957 0.1821
0.5910 0.7500 0.5573
0.7479 0.2500 0.4492
0.7521 0.7500 0.9492
0.9090 0.2500 0.0573
0.9119 0.0043 0.6821
0.9119 0.4957 0.6821

9.
BaNb2O6, optimized geometry, DFT r²SCAN; energy of formation from the pure elements = -26.8 eV per formula unit; magnetization = 0.00 μB/f.u.; space-group type = C222_1
1.0
3.9344 -6.1872 0.0000
3.9344 6.1872 0.0000
0.0000 0.0000 10.4163
Ba Nb O
4 8 24
direct
0.0730 0.9270 0.7500
0.3703 0.6297 0.2500
0.6297 0.3703 0.7500
0.9270 0.0730 0.2500
0.0891 0.3752 0.9227
0.1329 0.4093 0.5723
0.3752 0.0891 0.0773
0.4093 0.1329 0.4277
0.5907 0.8671 0.9277
0.6248 0.9109 0.5773
0.8671 0.5907 0.0723
0.9109 0.6248 0.4227
0.0152 0.4213 0.1084
0.0176 0.4188 0.3912
0.1586 0.8391 0.3839
0.1609 0.8414 0.1161
0.1885 0.1885 0.5000
0.1950 0.1950 0.0000
0.2069 0.3664 0.7502
0.3664 0.2069 0.2498
0.3802 0.6187 0.9661
0.3813 0.6198 0.5339
0.4188 0.0176 0.6088
0.4213 0.0152 0.8916
0.5787 0.9848 0.3916
0.5812 0.9824 0.1088
0.6187 0.3802 0.0339
0.6198 0.3813 0.4661
0.6336 0.7931 0.7498
0.7931 0.6336 0.2502
0.8050 0.8050 0.5000
0.8115 0.8115 0.0000
0.8391 0.1586 0.6161
0.8414 0.1609 0.8839
0.9824 0.5812 0.8912
0.9848 0.5787 0.6084

10.
CuTe, optimized geometry, DFT r²SCAN; energy of formation from the pure elements = -0.2 eV per formula unit; magnetization = 0.00 μB/f.u.; space-group type = Pmmn
1.0
3.2389 0.0000 0.0000
0.0000 3.9969 0.0000
0.0000 0.0000 7.3130
Cu Te
2 2
direct
0.2500 0.2500 0.0354
0.7500 0.7500 0.9646
0.2500 0.7500 0.2618
0.7500 0.2500 0.7382

11.
NdZn3P3, optimized geometry, DFT r²SCAN; energy of formation from the pure elements = -5.0 eV per formula unit; magnetization = 0.00 μB/f.u.; space-group type = P6_3/mmc
1.0
4.0197 0.0000 0.0000
-2.0098 3.4812 0.0000
0.0000 0.0000 20.0106
Nd Zn P
2 6 6
direct
0.0000 0.0000 0.0000
0.0000 0.0000 0.5000
0.3333 0.6667 0.1302
0.3333 0.6667 0.3698
0.3333 0.6667 0.7500
0.6667 0.3333 0.2500
0.6667 0.3333 0.6302
0.6667 0.3333 0.8698
0.3333 0.6667 0.2500
0.3333 0.6667 0.5884
0.3333 0.6667 0.9116
0.6667 0.3333 0.0884
0.6667 0.3333 0.4116
0.6667 0.3333 0.7500

12.
Cr21Mo2C6, optimized geometry, DFT r²SCAN; energy of formation from the pure elements = 3.0 eV per formula unit; magnetization = 0.00 μB/f.u.; space-group type = Fm-3m
1.0
0.0000 5.2877 5.2877
5.2877 0.0000 5.2877
5.2877 5.2877 0.0000
Cr Mo C
21 2 6
direct
0.0000 0.0000 0.0000
0.0000 0.0000 0.3387
0.0000 0.0000 0.6613
0.0000 0.3387 0.0000
0.0000 0.3387 0.6613
0.0000 0.6613 0.0000
0.0000 0.6613 0.3387
0.1516 0.6161 0.6161
0.3387 0.0000 0.0000
0.3387 0.0000 0.6613
0.3387 0.6613 0.0000
0.3839 0.3839 0.3839
0.3839 0.3839 0.8484
0.3839 0.8484 0.3839
0.6161 0.1516 0.6161
0.6161 0.6161 0.1516
0.6161 0.6161 0.6161
0.6613 0.0000 0.0000
0.6613 0.0000 0.3387
0.6613 0.3387 0.0000
0.8484 0.3839 0.3839
0.2500 0.2500 0.2500
0.7500 0.7500 0.7500
0.2758 0.2758 0.7242
0.2758 0.7242 0.2758
0.2758 0.7242 0.7242
0.7242 0.2758 0.2758
0.7242 0.2758 0.7242
0.7242 0.7242 0.2758

13.
HfGaRh, optimized geometry, DFT r²SCAN; energy of formation from the pure elements = -2.7 eV per formula unit; magnetization = 0.00 μB/f.u.; space-group type = P-62m
1.0
7.2655 0.0000 0.0000
-3.6327 6.2921 0.0000
0.0000 0.0000 3.2397
Hf Ga Rh
3 3 3
direct
0.0000 0.3903 0.0000
0.3903 0.0000 0.0000
0.6097 0.6097 0.0000
0.0000 0.7245 0.5000
0.2755 0.2755 0.5000
0.7245 0.0000 0.5000
0.0000 0.0000 0.0000
0.3333 0.6667 0.5000
0.6667 0.3333 0.5000

14.
B3Os2, optimized geometry, DFT r²SCAN; energy of formation from the pure elements = -1.4 eV per formula unit; magnetization = 0.00 μB/f.u.; space-group type = P6_3/mmc
1.0
2.9327 0.0000 0.0000
-1.4664 2.5398 0.0000
0.0000 0.0000 12.8922
B Os
6 4
direct
0.3333 0.6667 0.0308
0.3333 0.6667 0.2500
0.3333 0.6667 0.4692
0.6667 0.3333 0.5308
0.6667 0.3333 0.7500
0.6667 0.3333 0.9692
0.3333 0.6667 0.6398
0.3333 0.6667 0.8602
0.6667 0.3333 0.1398
0.6667 0.3333 0.3602